Record 1
DFT (GGA-PBE) results for a relaxed structure of Mg14FeSi.

```
16
Lattice="-1.7638 0.7532 -5.8885 -3.0412 -3.9951 3.6254 -6.3073 7.3714 2.8321" Properties=species:S:1:pos:R:3 pbc="T T T"
Mg -1.0964 -0.4202 -1.3480
Mg -3.8043 1.0771 -2.0201
Mg -4.2418 3.3022 -0.0092
Mg -8.3201 2.5183 1.1986
Mg -2.6134 -2.4050 0.4394
Mg -7.5355 2.3057 4.1421
Mg -5.9022 4.1496 2.3375
Mg -6.8742 4.6650 -0.6417
Mg -1.9743 -0.0293 -4.3205
Mg -3.0166 0.7772 1.0417
Fe -5.1314 3.6436 -2.8788
Mg -4.4251 -1.3295 2.7454
Si -5.7753 1.2502 1.9166
Mg -6.6399 1.6843 -1.1387
Mg -3.4986 -2.0409 -2.4794
Mg -5.4345 -0.8542 -0.0971
```

Properties
symmetry	No. 38
electronic total energy	-0.161	Ry/atom
formation energy from the elements	0.088	eV per atom
E (MP2020)	-2.1808	eV/atom
ΔE to the lowest computed polymorph	0.0	meV/atom
magnetic moment	2.410	μB per cell

---

Record 2
DFT (GGA-PBE) results for a relaxed structure of YZn12.

```
13
Lattice="4.5220 -3.7422 3.4644 -3.0929 5.9909 0.9986 -5.4265 -4.0545 0.7538" Properties=species:S:1:pos:R:3 pbc="T T T"
Zn -3.0209 0.6866 0.6214
Zn 2.2610 -1.8711 1.7322
Y 0.0000 0.0000 0.0000
Zn 0.5191 -0.5602 3.1428
Zn -2.8712 -3.3485 2.6066
Zn -0.3207 -2.7646 1.4957
Zn -5.4985 1.2498 1.1310
Zn -1.9987 -0.9029 2.6084
Zn -0.5838 -5.0321 2.7224
Zn -1.1261 1.5427 2.6101
Zn -2.7132 -2.0273 0.3769
Zn -1.5464 2.9955 0.4993
Zn -4.5165 -1.2456 2.0739
```

Properties
symmetry	No. 139
electronic total energy	-0.136	Ry/atom
formation energy from the elements	-0.186	eV per atom

---

Record 3
DFT (GGA-PBE) results for a relaxed structure of Tm5BiPt2.

```
16
Lattice="4.6477 0.6206 7.4611 -5.5281 -2.9145 6.2128 2.2829 -3.9003 -7.5650" Properties=species:S:1:pos:R:3 pbc="T T T"
Tm -2.5226 -2.6594 4.5424
Tm 0.0942 -2.5424 -2.3272
Pt -1.1119 -4.8062 -0.8779
Pt 2.5144 -1.3880 6.9868
Tm 1.5462 -3.0320 4.7419
Tm 3.9251 -3.5348 1.5665
Tm -0.4402 -1.1470 6.8370
Tm 4.1629 -2.9150 -2.1277
Tm 1.3083 -3.6518 8.4361
Tm 0.0000 0.0000 0.0000
Pt 2.0552 -2.1297 -0.2250
Pt -0.6527 -4.0645 6.3338
Tm -0.1437 -3.1622 1.3670
Tm -2.7604 -3.2792 8.2366
Bi -0.2201 -0.5735 3.4185
Bi -0.6603 -1.7204 10.2554
```

Properties
symmetry	No. 140
electronic total energy	-0.422	Ry/atom
formation energy from the elements	-0.938	eV per atom

---

Record 4
DFT (GGA-PBE) results for a relaxed structure of Si4SnH35C12N2.

```
216
Lattice="-6.5253 -9.1184 6.0611 -3.0788 -10.3860 -6.8624 13.2499 -10.6388 7.2819" Properties=species:S:1:pos:R:3 pbc="T T T"
C 8.0436 -14.0206 4.8944
C 3.3122 -16.3573 4.2004
N -4.1754 -18.4336 -0.4481
H -1.0002 -12.1656 -4.4046
H 6.3821 -14.8490 8.8568
C 3.2570 -16.4403 -0.2482
C -3.5602 -15.8265 -1.8746
H 7.3304 -14.5429 5.5404
H -4.9552 -19.9935 2.3669
C 3.7181 -4.5803 2.5676
Si -3.0615 -12.5046 7.1865
Si 1.3964 -19.4937 4.8974
C 7.7419 -23.3926 2.8512
H 0.5741 -18.0798 2.9926
H -5.7241 -13.4075 -1.3408
C 2.7309 -8.9238 0.9998
H -1.0340 -18.0516 0.3011
C -4.5609 -18.9770 2.4991
H 3.8202 -15.4589 4.5817
H 0.9100 -17.2573 6.0085
H -4.3816 -15.9280 -2.5955
H -4.3569 -14.1600 5.8587
C 5.0934 -13.0010 6.6376
H -6.4435 -12.9655 0.2157
H 9.3699 -16.7356 7.8214
C 7.0895 -16.5704 0.8014
C 8.2068 -11.1662 3.9815
H -0.1837 -21.2745 5.5449
N 5.7705 -21.5948 4.2523
Si -2.9290 -17.5021 -1.2769
Sn 5.4164 -20.2652 0.9083
H 2.4042 -8.1303 1.6835
H 7.1218 -11.0960 3.8183
H 1.4093 -13.9205 2.1015
H 0.5058 -13.6798 5.6360
H -3.6294 -10.2047 -3.5008
C 8.7543 -21.0169 4.4385
H 4.6461 -17.9775 10.8852
H 1.7792 -8.5190 4.3150
H 4.7235 -24.6405 4.7357
C 1.9125 -2.4195 1.5801
Si 6.7073 -17.6385 -0.7059
H 3.9997 -15.6711 -0.4942
H 1.1475 -7.1776 3.3210
H 7.8302 -19.0352 8.5667
H -5.0115 -18.5501 3.4087
H 2.2366 -16.2227 4.3791
C 7.3592 -20.5476 1.8280
C 1.7333 -27.7236 4.9005
H 3.0718 -12.0634 3.4879
H 10.8531 -13.0598 4.8386
Si 8.5885 -12.2840 5.4476
H 6.6856 -8.6525 3.5795
H -3.6071 -12.9789 4.7679
H -2.6250 -14.2784 5.4741
C 6.5455 -7.6736 4.0545
H -4.8787 -10.0730 1.5336
H 8.9279 -14.6670 4.8064
H 1.8667 -21.6241 2.1656
H 8.5245 -20.0701 4.9470
C 2.8556 -11.8212 0.2356
H 2.7358 -12.8859 0.4721
H 9.0658 -16.7136 10.0484
C 0.8702 -7.9664 4.0391
H 4.3093 -24.5314 6.4603
H -3.6846 -15.6002 0.9402
H -1.1240 -8.1711 -1.5680
H 7.6950 -19.5378 2.1069
N 7.8212 -11.7096 6.9287
H 1.2540 -18.5161 7.2201
H 2.3918 -11.6270 -0.7395
C -4.3978 -16.1226 1.5862
H -0.2906 -18.5040 6.3563
H 10.0893 -17.1776 6.2648
H 10.7785 -12.7812 6.5892
H 6.2708 -15.8648 1.0064
H 8.6573 -11.5930 3.0718
H -5.3664 -11.8315 -0.5984
H 7.2753 -19.9384 9.9814
C -2.1794 -12.1246 1.9205
H 5.3466 -13.6935 5.8240
H -3.0397 -21.4907 2.9011
C 7.2060 -14.3166 8.3551
N 0.5147 -10.7958 1.8636
H 2.2537 -19.3111 0.7756
C -0.3619 -12.6055 -0.4320
H 4.2947 -13.4696 7.2336
H 4.3022 -18.4160 7.5031
C 2.3763 -19.3377 -0.3165
C -3.4437 -13.5727 5.6792
C -0.0723 -25.5629 3.9130
H 5.4176 -20.5125 7.2768
C 0.3632 -19.0908 3.3699
H 4.3507 -11.0119 2.8434
C 0.3888 -13.7028 6.7287
C -1.4476 -17.1421 -0.1570
H -1.0776 -5.5027 1.7449
H -0.6489 -16.6735 -0.7531
C -3.4512 -6.9326 -0.0285
H 8.0275 -14.2151 9.0761
H 1.5241 -1.8015 0.7596
H 0.8488 -24.9614 3.8415
H 8.0936 -20.9817 1.1311
H 7.5577 -14.9539 7.5346
H -2.7363 -15.2941 -2.3763
Si 2.2494 -10.6494 1.5831
H 4.7421 -16.7398 7.1065
H -0.6564 -11.7271 -1.0225
H -0.7048 -19.1313 3.6372
Sn 4.0904 -20.6858 3.3260
H -0.1743 -14.6843 1.8989
Si -3.6641 -8.5045 3.0915
N 3.1311 -19.3473 4.6169
H 3.8295 -8.8686 0.9357
H -1.0963 -13.4034 -0.6259
H 6.3591 -17.1500 4.9775
H -7.2073 -17.0834 1.6419
C 0.9149 -21.2193 5.4808
N 5.3017 -18.6752 -0.4502
H 2.5156 -26.9934 4.6360
H 10.0677 -13.4218 9.0305
H -7.1327 -17.3619 -0.1086
H -1.7008 -16.4497 0.6565
H -4.4477 -9.1614 5.3494
H 1.2417 -22.0129 4.7970
H 3.9364 -11.6391 0.1243
Sn -0.4446 -9.4573 3.1545
Si 4.0129 -17.8832 5.0584
H 1.4112 -19.0446 -0.7607
Si 7.3099 -21.6386 3.3891
H -0.3539 -14.4721 6.9748
H 3.7751 -21.0643 6.8785
H 1.3167 -21.4336 6.4813
H 2.2346 -11.0985 7.2412
H 3.4719 -16.3969 3.1135
H 8.6010 -10.1496 4.1136
H -3.5683 -23.1869 2.9161
C 2.7756 -22.1768 2.4415
C 0.3337 -13.7858 2.2802
H 0.5203 -19.7978 2.5433
Si 3.6912 -18.1423 -0.9389
H 2.1217 -28.3416 5.7209
H 0.1739 -13.7462 3.3671
C -1.1497 -8.7428 -0.6258
H 0.6095 -12.9568 -0.7976
H -2.0173 -20.1582 0.2413
H -1.7717 -9.6306 -0.7962
H -5.4200 -13.4296 -3.5678
H -2.7133 -12.9931 1.5031
H -2.6533 -11.2161 1.5239
Si 6.5748 -12.6410 7.7575
H 2.2962 -16.1172 -0.6796
C 1.2696 -10.8054 6.7971
H 3.0363 -17.1863 7.2782
H 4.6799 -12.0916 6.1795
H 0.3072 -6.4889 1.2199
H 0.7671 -14.4507 -3.3355
H -0.6634 -5.6117 0.0203
H -2.3260 -12.1470 3.0094
N -1.6559 -11.4680 6.9307
H -0.1293 -9.0788 -0.3979
C 0.7902 -18.3219 6.2450
H 3.1400 -16.4633 0.8445
H 5.9718 -17.9962 3.4712
H 1.3921 -10.8321 5.7050
H -6.4219 -16.7213 -2.5499
C 3.2826 -11.0524 3.1107
C -4.0961 -6.7505 3.6294
H 5.5113 -7.3487 3.8553
H 3.3387 -23.6542 5.2606
C -2.8997 -22.4696 2.4260
H 2.8788 -15.6924 9.8161
Sn -1.7705 -9.8779 5.5723
H 3.1255 -10.3453 3.9373
C -0.7167 -6.1829 0.9617
H 5.6631 -9.9849 6.2392
C -3.7134 -9.5956 4.6526
H 1.3496 -14.0260 7.1602
H -4.5371 -12.7538 -4.9491
C 7.0970 -23.2105 6.5090
H 7.2530 -17.1643 1.7126
H 7.2141 -6.9563 3.5645
N -2.1247 -8.5483 2.2283
H 4.5493 -5.2844 2.4364
C 4.7955 -21.4004 7.1063
Si -4.9427 -17.8592 1.0330
C 4.0078 -17.5377 6.9126
Si -0.3671 -12.2599 1.4222
H 8.1829 -17.3893 11.4296
H -3.9417 -16.1851 2.5837
H 4.7698 -21.9720 8.0486
Si -0.0454 -12.0008 7.4195
H 1.1302 -3.1497 1.8446
H -3.9119 -15.1893 -1.0540
C -6.8250 -17.7656 0.8655
C 5.8252 -18.0185 4.5601
H 6.2991 -18.9270 4.9567
C 4.3625 -23.9603 5.5188
H 9.0122 -18.3117 7.0790
H -5.2821 -15.4761 1.6742
Si 5.5219 -22.4882 5.7524
C 10.4708 -12.3776 5.6151
H -7.3234 -18.7340 1.0110
Si -1.8761 -7.6550 0.7281
H 8.0027 -15.9831 0.6219
H -3.4760 -19.0471 2.6623
C -5.1085 -9.1262 2.0420
H -1.8655 -22.7945 2.6253
H 7.5875 -13.9580 3.8968
H -4.1844 -11.1079 -2.0861
H 2.7970 -5.1818 2.6391
H -0.9035 -24.8588 4.0441
H 2.3291 -8.7095 -0.0007
H 2.4983 -22.9655 3.1595
H 10.9692 -11.4092 5.4695
H -4.0492 -10.6053 4.3737
```

Properties
symmetry	No. 2
electronic total energy	-0.386	Ry/atom
formation energy from the elements	-0.233	eV per atom
E (MP2020)	-5.2676	eV/atom
magnetic moment	0.127	μB per cell

---

Record 5
DFT (GGA-PBE) results for a relaxed structure of PrGe.

```
4
Lattice="2.2685 -5.6004 0.0000 2.2685 5.6004 0.0000 0.0000 0.0000 4.0996" Properties=species:S:1:pos:R:3 pbc="T T T"
Pr 2.2685 1.5466 1.0249
Ge 2.2685 4.7012 1.0249
Ge 2.2685 -4.7012 3.0747
Pr 2.2685 -1.5466 3.0747
```

Properties
symmetry	No. 63
electronic total energy	-0.407	Ry/atom
formation energy from the elements	-0.834	eV per atom

---

Record 6
DFT (GGA-PBE) results for a relaxed structure of BaSrCeSnO6.

```
40
Lattice="8.5616 0.0000 0.0000 0.0000 8.5730 0.0000 0.0000 0.0000 8.5749" Properties=species:S:1:pos:R:3 pbc="T T T"
O 2.3290 8.5002 6.6323
Ce 2.1407 2.1659 6.4271
Ba 0.0000 0.0000 4.2875
O 1.8750 6.1484 8.5047
O 6.1127 1.8936 4.3579
O 6.6866 6.1484 0.0703
O 6.2326 8.5002 1.9427
Sr 4.2808 4.2865 0.0000
O 6.6988 4.2221 6.1213
Sn 6.4191 6.4079 2.1478
Ba 4.2808 4.2865 4.2875
Sn 6.4191 2.1651 6.4271
O 4.2076 2.4525 1.8625
O 6.6988 4.3509 2.4536
O 6.1127 6.6795 4.2170
O 4.3540 2.4525 6.7125
O 1.8628 4.3509 6.1213
O 8.4992 1.9598 6.2205
Sn 2.1425 6.4079 6.4271
O 6.6866 2.4246 8.5047
O 4.3540 6.1205 1.8625
O 6.2326 0.0728 6.6323
Ba 4.2808 0.0000 0.0000
O 1.8628 4.2221 2.4536
O 2.4489 1.8936 4.2170
O 2.4489 6.6795 4.3579
Sr 0.0000 4.2865 4.2875
Ce 6.4209 2.1659 2.1478
O 8.4992 6.6132 2.3544
O 2.3290 0.0728 1.9427
O 0.0624 6.6132 6.2205
Ce 6.4209 6.4071 6.4271
Ba 0.0000 0.0000 0.0000
Sr 4.2808 0.0000 4.2875
Sn 2.1425 2.1651 2.1478
O 0.0624 1.9598 2.3544
Sr 0.0000 4.2865 0.0000
Ce 2.1407 6.4071 2.1478
O 1.8750 2.4246 0.0703
O 4.2076 6.1205 6.7125
```

Properties
symmetry	No. 16
electronic total energy	-0.516	Ry/atom
formation energy from the elements	-3.111	eV per atom
E (MP2020)	-7.4352	eV/atom
ΔE to the lowest computed polymorph	0.0	meV/atom
magnetic moment	0.000	μB per cell

---

Record 7
DFT (GGA-PBE) results for a relaxed structure of La4Al51W7.

```
62
Lattice="5.2282 -9.0555 0.0000 5.2282 9.0555 0.0000 0.0000 0.0000 11.7822" Properties=species:S:1:pos:R:3 pbc="T T T"
Al 1.4436 0.8335 4.7123
La 5.2282 -3.0185 6.8213
Al 3.8219 -0.6425 8.8896
Al 5.2282 1.4022 7.7289
Al 3.8284 -3.8267 4.0533
Al 8.0161 -1.4089 11.2593
Al 5.2282 -7.3998 1.9942
Al 5.2282 -1.4022 4.0533
Al 5.2282 -6.2377 11.2593
Al 1.4339 -0.8279 1.9942
La 5.2282 -3.0185 10.6988
Al 6.6509 2.1971 10.1154
Al 6.6280 -3.8267 4.0533
Al 9.0128 -0.8335 7.0699
Al 1.4339 0.8279 9.7880
La 5.2282 3.0185 4.9609
W 7.8146 -1.5253 4.0522
Al 2.4674 2.9887 2.8926
Al 7.9890 2.9887 2.8926
Al 2.4403 1.4089 0.5229
Al 6.6509 -2.1971 1.6668
Al 5.2282 7.3998 9.7880
W 5.2282 6.0050 7.7300
Al 6.6303 0.0000 5.8911
Al 3.3152 5.7420 5.8911
Al 5.2282 4.6613 10.1154
Al 2.6141 -4.5278 0.0000
Al 6.6345 0.6425 2.8926
Al 5.2282 0.0000 0.0000
Al 1.4436 -0.8335 7.0699
Al 3.3152 -5.7420 5.8911
Al 2.4674 -2.9887 8.8896
Al 8.0161 1.4089 0.5229
Al 9.0128 0.8335 4.7123
Al 5.2282 6.2377 0.5229
Al 6.6280 3.8267 7.7289
Al 3.8219 0.6425 2.8926
Al 6.5828 -5.4244 8.8896
W 7.8146 1.5253 7.7300
W 5.2282 -6.0050 4.0522
Al 9.0225 -0.8279 1.9942
Al 6.5828 5.4244 2.8926
La 5.2282 3.0185 1.0834
W 2.6418 -1.5253 4.0522
W 0.0000 0.0000 0.0000
Al 2.4403 -1.4089 11.2593
Al 3.8284 3.8267 7.7289
Al 2.6141 4.5278 0.0000
Al 7.9890 -2.9887 8.8896
Al 5.2282 7.3885 4.7123
Al 1.9130 3.3135 5.8911
W 2.6418 1.5253 7.7300
Al 6.6345 -0.6425 8.8896
Al 1.9130 -3.3135 5.8911
Al 5.2282 -7.3885 7.0699
Al 9.0225 0.8279 9.7880
Al 3.8736 5.4244 2.8926
Al 3.8736 -5.4244 8.8896
Al 5.2282 -4.6613 1.6668
Al 3.8261 0.0000 5.8911
Al 3.8055 -2.1971 1.6668
Al 3.8055 2.1971 10.1154
```

Properties
symmetry	No. 164
electronic total energy	-0.373	Ry/atom
formation energy from the elements	-0.214	eV per atom
magnetic moment	0.004	μB per cell

---

Record 8
DFT (GGA-PBE) results for a relaxed structure of NdCo2P2.

```
5
Lattice="3.8912 0.0000 0.0000 0.0000 3.8912 0.0000 -1.9456 -1.9456 4.9093" Properties=species:S:1:pos:R:3 pbc="T T T"
Co 0.0000 1.9456 2.4547
P 0.0000 0.0000 3.5852
P 1.9456 1.9456 1.3242
Nd 0.0000 0.0000 0.0000
Co 1.9456 0.0000 2.4547
```

Properties
symmetry	No. 139
electronic total energy	-0.510	Ry/atom
formation energy from the elements	-0.978	eV per atom